Here is a relaxed structure of La2IrAu from the Materials Project. Energies are from PBE.

POSCAR file:
```
La2IrAu
1.0
2.685 -2.433 3.753
-2.238 -0.938 4.618
-1.245 -4.882 1.351
Ir Au La
1 1 2
Cartesian
0.000 0.000 0.000
-0.399 -4.127 4.861
-0.199 -2.063 2.430
-0.598 -6.190 7.291
```

Values from the calculation:
The total DFT energy (no corrections) comes out at -6.205 eV/atom. For the magnetic moment, the calculation gives 0.000 μB per atom. The calculation puts the formation energy at -708.5 meV per atom.

---

Here is a relaxed structure of SmNiC2 from the Materials Project. Energies are from PBE.

POSCAR file:
```
SmNiC2
1.0
2.268 -3.038 0.000
2.268 3.038 0.000
0.000 0.000 3.749
Sm C Ni
1 2 1
Cartesian
2.268 -3.037 0.000
2.953 1.208 1.874
1.583 1.208 1.874
2.268 -0.685 1.874
```

Values from the calculation:
The total DFT energy (no corrections) comes out at -7.529 eV/atom. The calculation puts the formation energy at -289.9 meV per atom.